Material: Na3InSiSnP2O12
Method: DFT, PBE-GGA
State: optimized geometry

The structure in CIF format:
```
data_Na3InSiSnP2O12
_chemical_formula_sum 'Na12 In4 Si4 Sn4 P8 O48'
_symmetry_space_group_name_H-M 'P 1'
_symmetry_Int_Tables_number 1
_cell_length_a 15.711
_cell_length_b 9.121
_cell_length_c 9.133
_cell_angle_alpha 90.00
_cell_angle_beta 125.07
_cell_angle_gamma 90.00
loop_
_symmetry_equiv_pos_as_xyz
'x,y,z'
loop_
_atom_site_label
_atom_site_fract_x
_atom_site_fract_y
_atom_site_fract_z
Na1 0.253 0.721 0.998
Na2 0.753 0.779 0.498
Na3 0.753 0.221 0.998
Na4 0.253 0.279 0.498
Na5 0.509 0.108 0.765
Na6 0.509 0.892 0.265
Na7 0.009 0.608 0.765
Na8 0.009 0.392 0.265
Na9 0.184 0.931 0.288
Na10 0.184 0.069 0.788
Na11 0.684 0.431 0.288
Na12 0.684 0.569 0.788
In1 0.102 0.747 0.560
In2 0.102 0.253 0.060
In3 0.602 0.247 0.560
In4 0.602 0.753 0.060
Si1 0.648 0.893 0.745
Si2 0.648 0.107 0.245
Si3 0.148 0.393 0.745
Si4 0.148 0.607 0.245
Sn1 0.898 0.756 0.943
Sn2 0.898 0.244 0.443
Sn3 0.398 0.256 0.943
Sn4 0.398 0.744 0.443
P1 0.997 0.954 0.754
P2 0.997 0.046 0.254
P3 0.497 0.454 0.754
P4 0.497 0.546 0.254
P5 0.352 0.904 0.756
P6 0.352 0.096 0.256
P7 0.852 0.404 0.756
P8 0.852 0.596 0.256
O1 0.153 0.571 0.746
O2 0.851 0.577 0.755
O3 0.851 0.423 0.255
O4 0.153 0.429 0.246
O5 0.653 0.071 0.746
O6 0.351 0.077 0.755
O7 0.351 0.923 0.255
O8 0.653 0.929 0.246
O9 0.433 0.553 0.585
O10 0.561 0.541 0.928
O11 0.561 0.459 0.428
O12 0.433 0.447 0.085
O13 0.933 0.053 0.585
O14 0.061 0.041 0.928
O15 0.061 0.959 0.428
O16 0.933 0.947 0.085
O17 0.255 0.855 0.746
O18 0.746 0.809 0.757
O19 0.746 0.191 0.257
O20 0.255 0.145 0.246
O21 0.755 0.355 0.746
O22 0.246 0.309 0.757
O23 0.246 0.691 0.257
O24 0.755 0.645 0.246
O25 0.350 0.865 0.586
O26 0.644 0.842 0.908
O27 0.644 0.158 0.408
O28 0.350 0.135 0.086
O29 0.850 0.365 0.586
O30 0.144 0.342 0.908
O31 0.144 0.658 0.408
O32 0.850 0.635 0.086
O33 0.448 0.846 0.930
O34 0.543 0.826 0.556
O35 0.543 0.174 0.056
O36 0.448 0.154 0.430
O37 0.948 0.346 0.930
O38 0.043 0.326 0.556
O39 0.043 0.674 0.056
O40 0.948 0.654 0.430
O41 0.075 0.857 0.745
O42 0.917 0.850 0.749
O43 0.917 0.150 0.249
O44 0.075 0.143 0.245
O45 0.575 0.357 0.745
O46 0.417 0.350 0.749
O47 0.417 0.650 0.249
O48 0.575 0.643 0.245
```

Material: Dy2MgGa
Method: DFT, PBE-GGA
State: optimized geometry

- crystal system = cubic
- SG = Fm-3m, No. 225

The structure in CIF format:
```
data_Dy2MgGa
_chemical_formula_sum 'Dy2 Mg1 Ga1'
_symmetry_space_group_name_H-M 'P 1'
_symmetry_Int_Tables_number 1
_cell_length_a 5.167
_cell_length_b 5.167
_cell_length_c 5.167
_cell_angle_alpha 60.00
_cell_angle_beta 60.00
_cell_angle_gamma 60.00
loop_
_symmetry_equiv_pos_as_xyz
'x,y,z'
loop_
_atom_site_label
_atom_site_fract_x
_atom_site_fract_y
_atom_site_fract_z
Dy1 0.750 0.750 0.750
Dy2 0.250 0.250 0.250
Mg1 0.000 0.000 0.000
Ga1 0.500 0.500 0.500
```

Material: SbTePt
Method: DFT, PBE-GGA
State: optimized geometry

- crystal system = cubic
- SG = P2_13, No. 198

The structure in CIF format:
```
data_SbTePt
_chemical_formula_sum 'Sb4 Te4 Pt4'
_symmetry_space_group_name_H-M 'P 1'
_symmetry_Int_Tables_number 1
_cell_length_a 6.650
_cell_length_b 6.650
_cell_length_c 6.650
_cell_angle_alpha 90.00
_cell_angle_beta 90.00
_cell_angle_gamma 90.00
loop_
_symmetry_equiv_pos_as_xyz
'x,y,z'
loop_
_atom_site_label
_atom_site_fract_x
_atom_site_fract_y
_atom_site_fract_z
Sb1 0.129 0.871 0.371
Sb2 0.871 0.371 0.129
Sb3 0.371 0.129 0.871
Sb4 0.629 0.629 0.629
Te1 0.873 0.127 0.627
Te2 0.127 0.627 0.873
Te3 0.627 0.873 0.127
Te4 0.373 0.373 0.373
Pt1 0.505 0.495 0.995
Pt2 0.495 0.995 0.505
Pt3 0.995 0.505 0.495
Pt4 0.005 0.005 0.005
```

Material: Mg15Ti
Method: DFT, PBE-GGA
State: optimized geometry

- crystal system = hexagonal
- SG = P-6m2, No. 187

The structure in CIF format:
```
data_Mg15Ti
_chemical_formula_sum 'Mg15 Ti1'
_symmetry_space_group_name_H-M 'P 1'
_symmetry_Int_Tables_number 1
_cell_length_a 6.383
_cell_length_b 6.383
_cell_length_c 10.144
_cell_angle_alpha 90.00
_cell_angle_beta 90.00
_cell_angle_gamma 120.00
loop_
_symmetry_equiv_pos_as_xyz
'x,y,z'
loop_
_atom_site_label
_atom_site_fract_x
_atom_site_fract_y
_atom_site_fract_z
Mg1 0.000 0.000 0.000
Mg2 0.003 0.501 0.500
Mg3 0.000 0.500 0.000
Mg4 0.499 0.501 0.500
Mg5 0.500 0.500 0.000
Mg6 0.499 0.997 0.500
Mg7 0.500 0.000 0.000
Mg8 0.164 0.327 0.254
Mg9 0.164 0.327 0.746
Mg10 0.164 0.836 0.254
Mg11 0.164 0.836 0.746
Mg12 0.673 0.836 0.254
Mg13 0.673 0.836 0.746
Mg14 0.667 0.333 0.250
Mg15 0.667 0.333 0.750
Ti1 0.000 0.000 0.500
```

Material: RbCO3
Method: DFT, PBE-GGA
State: optimized geometry

- crystal system = monoclinic
- SG = P2_1/c, No. 14

The structure in CIF format:
```
data_RbCO3
_chemical_formula_sum 'Rb8 C8 O24'
_symmetry_space_group_name_H-M 'P 1'
_symmetry_Int_Tables_number 1
_cell_length_a 10.711
_cell_length_b 7.878
_cell_length_c 8.045
_cell_angle_alpha 78.50
_cell_angle_beta 90.00
_cell_angle_gamma 90.00
loop_
_symmetry_equiv_pos_as_xyz
'x,y,z'
loop_
_atom_site_label
_atom_site_fract_x
_atom_site_fract_y
_atom_site_fract_z
Rb1 0.914 0.006 0.252
Rb2 0.414 0.494 0.748
Rb3 0.086 0.994 0.748
Rb4 0.586 0.506 0.252
Rb5 0.513 0.006 0.254
Rb6 0.013 0.494 0.746
Rb7 0.487 0.994 0.746
Rb8 0.987 0.506 0.254
C1 0.225 0.186 0.037
C2 0.275 0.686 0.037
C3 0.775 0.814 0.963
C4 0.725 0.314 0.963
C5 0.778 0.194 0.553
C6 0.278 0.306 0.447
C7 0.222 0.806 0.447
C8 0.722 0.694 0.553
O1 0.705 0.772 0.827
O2 0.205 0.728 0.173
O3 0.295 0.228 0.173
O4 0.795 0.272 0.827
O5 0.791 0.726 0.693
O6 0.291 0.774 0.307
O7 0.209 0.274 0.307
O8 0.709 0.226 0.693
O9 0.698 0.858 0.067
O10 0.198 0.642 0.933
O11 0.302 0.142 0.933
O12 0.802 0.358 0.067
O13 0.605 0.712 0.547
O14 0.105 0.788 0.453
O15 0.395 0.288 0.453
O16 0.895 0.212 0.547
O17 0.797 0.649 0.449
O18 0.297 0.851 0.551
O19 0.203 0.351 0.551
O20 0.703 0.149 0.449
O21 0.391 0.697 0.033
O22 0.109 0.197 0.033
O23 0.609 0.303 0.967
O24 0.891 0.803 0.967
```

Material: LaLuTl2
Method: DFT, PBE-GGA
State: optimized geometry

- crystal system = cubic
- SG = Fm-3m, No. 225

The structure in CIF format:
```
data_LaLuTl2
_chemical_formula_sum 'La1 Lu1 Tl2'
_symmetry_space_group_name_H-M 'P 1'
_symmetry_Int_Tables_number 1
_cell_length_a 5.468
_cell_length_b 5.468
_cell_length_c 5.468
_cell_angle_alpha 60.00
_cell_angle_beta 60.00
_cell_angle_gamma 60.00
loop_
_symmetry_equiv_pos_as_xyz
'x,y,z'
loop_
_atom_site_label
_atom_site_fract_x
_atom_site_fract_y
_atom_site_fract_z
La1 0.500 0.500 0.500
Lu1 0.000 0.000 0.000
Tl1 0.250 0.250 0.250
Tl2 0.750 0.750 0.750
```

Formation enthalpy at 0 K (computed, eV per atom): -2.534, -0.336, -0.403, 0.047, -1.725, -0.345